The following is a PBE calculation of an optimized crystal structure of CaCd2Cl6O6, from the Materials Project database.

a = 8.135 Å, b = 9.169 Å, c = 9.656 Å
α = 77.51°, β = 89.30°, γ = 78.58°
Sites, in units of the cell vectors:
1 Ca 0.174 0.122 0.141
2 Ca 0.826 0.878 0.859
3 Cd 0.152 0.454 0.684
4 Cd 0.366 0.568 0.308
5 Cd 0.634 0.432 0.692
6 Cd 0.848 0.546 0.316
7 Cl 0.094 0.660 0.445
8 Cl 0.131 0.398 0.209
9 Cl 0.190 0.198 0.870
10 Cl 0.267 0.831 0.120
11 Cl 0.378 0.536 0.821
12 Cl 0.415 0.329 0.538
13 Cl 0.585 0.671 0.462
14 Cl 0.622 0.464 0.179
15 Cl 0.733 0.169 0.880
16 Cl 0.810 0.802 0.130
17 Cl 0.869 0.602 0.791
18 Cl 0.906 0.340 0.555
19 O 0.059 0.999 0.717
20 O 0.142 0.865 0.747
21 O 0.190 0.046 0.525
22 O 0.273 0.915 0.550
23 O 0.495 0.161 0.173
24 O 0.499 0.026 0.236
25 O 0.501 0.974 0.764
26 O 0.505 0.839 0.827
27 O 0.727 0.085 0.450
28 O 0.810 0.954 0.475
29 O 0.858 0.135 0.253
30 O 0.941 0.001 0.283

Results
Space-group type   P-1 (2)
ΔE_f   -0.852 eV per atom
Electronic total energy   -56.44 eV/f.u.

The following is a PBE calculation of an optimized crystal structure of Ca6Cd32Cu, from the Materials Project database.

a = 9.730 Å, b = 9.730 Å, c = 9.730 Å
α = 90.00°, β = 90.00°, γ = 90.00°
Sites, in units of the cell vectors:
1 Ca 0.000 0.297 0.500
2 Ca 0.000 0.703 0.500
3 Ca 0.297 0.500 0.000
4 Ca 0.500 0.000 0.297
5 Ca 0.500 0.000 0.703
6 Ca 0.703 0.500 0.000
7 Cd 0.000 0.000 0.243
8 Cd 0.000 0.000 0.757
9 Cd 0.000 0.243 0.000
10 Cd 0.000 0.500 0.179
11 Cd 0.000 0.500 0.821
12 Cd 0.000 0.757 0.000
13 Cd 0.179 0.000 0.500
14 Cd 0.219 0.219 0.219
15 Cd 0.219 0.219 0.781
16 Cd 0.219 0.781 0.219
17 Cd 0.219 0.781 0.781
18 Cd 0.242 0.500 0.351
19 Cd 0.242 0.500 0.649
20 Cd 0.243 0.000 0.000
21 Cd 0.351 0.242 0.500
22 Cd 0.351 0.758 0.500
23 Cd 0.500 0.179 0.000
24 Cd 0.500 0.351 0.242
25 Cd 0.500 0.351 0.758
26 Cd 0.500 0.649 0.242
27 Cd 0.500 0.649 0.758
28 Cd 0.500 0.821 0.000
29 Cd 0.649 0.242 0.500
30 Cd 0.649 0.758 0.500
31 Cd 0.757 0.000 0.000
32 Cd 0.758 0.500 0.351
33 Cd 0.758 0.500 0.649
34 Cd 0.781 0.219 0.219
35 Cd 0.781 0.219 0.781
36 Cd 0.781 0.781 0.219
37 Cd 0.781 0.781 0.781
38 Cd 0.821 0.000 0.500
39 Cu 0.500 0.500 0.500

Results
Space-group type   Pm-3 (200)
ΔE_f   -0.184 eV per atom
Electronic total energy   -52.84 eV/f.u.

The following is a PBE calculation of an optimized crystal structure of Ca20Cd3Ga9, from the Materials Project database.

a = 8.103 Å, b = 8.103 Å, c = 14.739 Å
α = 90.00°, β = 90.00°, γ = 90.00°
Sites, in units of the cell vectors:
1 Ca 0.000 0.000 0.247
2 Ca 0.000 0.000 0.753
3 Ca 0.166 0.319 0.106
4 Ca 0.166 0.681 0.894
5 Ca 0.171 0.328 0.391
6 Ca 0.171 0.672 0.609
7 Ca 0.319 0.166 0.894
8 Ca 0.319 0.834 0.106
9 Ca 0.328 0.171 0.609
10 Ca 0.328 0.829 0.391
11 Ca 0.500 0.500 0.247
12 Ca 0.500 0.500 0.753
13 Ca 0.672 0.171 0.391
14 Ca 0.672 0.829 0.609
15 Ca 0.681 0.166 0.106
16 Ca 0.681 0.834 0.894
17 Ca 0.829 0.328 0.609
18 Ca 0.829 0.672 0.391
19 Ca 0.834 0.319 0.894
20 Ca 0.834 0.681 0.106
21 Cd 0.000 0.000 0.500
22 Cd 0.500 0.500 0.000
23 Cd 0.500 0.500 0.500
24 Ga 0.000 0.000 0.000
25 Ga 0.115 0.387 0.751
26 Ga 0.115 0.613 0.249
27 Ga 0.387 0.115 0.249
28 Ga 0.387 0.885 0.751
29 Ga 0.613 0.115 0.751
30 Ga 0.613 0.885 0.249
31 Ga 0.885 0.387 0.249
32 Ga 0.885 0.613 0.751

Results
Space-group type   P422 (89)
ΔE_f   -0.362 eV per atom
Electronic total energy   -81.71 eV/f.u.